## CrN2 (PBE)

Data for crystalline CrN2 at its relaxed geometry.

Results
The space-group type is Fm-3m, No. 225. Its crystal system is cubic. The calculation puts the total energy at -24.22 eV per cell. For the calculated volume, the calculation gives 26 Å³ per cell. The energy with MP2020 corrections comes out at -24.94 eV for the cell shown. The calculation puts the formation energy at 0.46 eV/atom. The density comes out at 5.1 Mg/m³.

a b c (Å): 3.335 3.335 3.335
angles (deg): 60.00 60.00 60.00
Atoms (fractional coordinates):
N  0.750  0.750  0.750
N  0.250  0.250  0.250
Cr  0.000  0.000  0.000